First-principles (GGA+U) data for crystalline Li8Fe3Co5O16 at its relaxed geometry, as listed in the Materials Project.

The structure in POSCAR format:
```
Li8Fe3Co5O16
1.0
5.0873 0.0000 0.0000
0.0000 2.8960 0.0000
-1.5243 0.0000 18.8888
Li Fe Co O
8 3 5 16
direct
0.0000 0.0000 0.0000 Li
0.1250 0.5000 0.8722 Li
0.2507 0.0000 0.7470 Li
0.3753 0.5000 0.6221 Li
0.5000 0.0000 0.5000 Li
0.6247 0.5000 0.3779 Li
0.7493 0.0000 0.2530 Li
0.8750 0.5000 0.1278 Li
0.3706 0.0000 0.1306 Fe
0.5000 0.5000 0.0000 Fe
0.6294 0.0000 0.8694 Fe
0.0000 0.5000 0.5000 Co
0.1241 0.0000 0.3778 Co
0.2459 0.5000 0.2555 Co
0.7541 0.5000 0.7445 Co
0.8759 0.0000 0.6222 Co
0.0309 0.5000 0.6804 O
0.0806 0.0000 0.1978 O
0.1566 0.0000 0.5584 O
0.1998 0.5000 0.0666 O
0.2807 0.5000 0.4362 O
0.3274 0.0000 0.9365 O
0.4022 0.0000 0.3137 O
0.4600 0.5000 0.8066 O
0.5400 0.5000 0.1934 O
0.5978 0.0000 0.6863 O
0.6726 0.0000 0.0635 O
0.7193 0.5000 0.5638 O
0.8002 0.5000 0.9334 O
0.8434 0.0000 0.4416 O
0.9194 0.0000 0.8022 O
0.9691 0.5000 0.3196 O
```

Calculated values
Symmetry: P2/m, No. 10
Energy of formation: -1.8153 eV per atom
Uncorrected energy: -5.8603 eV per atom
Corrected total energy (MP2020 scheme): -213.5 eV/f.u.